DFT (PBE-GGA) results for an optimized crystal structure of Sm3CrSe6.

Formation energy from the elements in meV per atom: -1830
Total energy in eV/atom: -6.02
Crystal system: orthorhombic

Lattice parameters (Å, degrees): 4.017 14.186 16.925 90.00 90.00 90.00
Element x y z (fractional)
Sm  0.500  0.740  0.595
Sm  0.500  0.260  0.405
Sm  0.000  0.240  0.905
Sm  0.000  0.760  0.095
Sm  0.500  0.946  0.779
Sm  0.500  0.054  0.221
Sm  0.000  0.446  0.721
Sm  0.000  0.554  0.279
Sm  0.500  0.179  0.648
Sm  0.500  0.821  0.352
Sm  0.000  0.679  0.852
Sm  0.000  0.321  0.148
Cr  0.500  0.500  0.500
Cr  0.000  0.000  0.000
Cr  0.500  0.500  0.000
Cr  0.000  0.000  0.500
Se  0.500  0.976  0.596
Se  0.500  0.024  0.404
Se  0.000  0.476  0.904
Se  0.000  0.524  0.096
Se  0.500  0.078  0.924
Se  0.500  0.922  0.076
Se  0.000  0.578  0.576
Se  0.000  0.422  0.424
Se  0.000  0.101  0.756
Se  0.000  0.899  0.244
Se  0.500  0.601  0.744
Se  0.500  0.399  0.256
Se  0.000  0.122  0.106
Se  0.000  0.878  0.894
Se  0.500  0.622  0.394
Se  0.500  0.378  0.606
Se  0.000  0.191  0.290
Se  0.000  0.809  0.710
Se  0.500  0.691  0.210
Se  0.500  0.309  0.790
Se  0.000  0.179  0.520
Se  0.000  0.821  0.480
Se  0.500  0.679  0.980
Se  0.500  0.321  0.020

DFT (PBE-GGA) results for an optimized crystal structure of Ta4CrSe8.

Formation energy from the elements in meV per atom: -1071
Total energy in eV/atom: -7.32
Crystal system: hexagonal

Lattice parameters (Å, degrees): 6.897 6.897 12.675 90.00 90.00 120.00
Element x y z (fractional)
Ta  0.000  0.000  0.250
Ta  0.000  0.000  0.750
Ta  0.505  0.009  0.250
Ta  0.495  0.991  0.750
Ta  0.991  0.495  0.250
Ta  0.009  0.505  0.750
Ta  0.505  0.495  0.250
Ta  0.495  0.505  0.750
Cr  0.000  0.000  0.000
Cr  0.000  0.000  0.500
Se  0.333  0.667  0.615
Se  0.667  0.333  0.385
Se  0.667  0.333  0.115
Se  0.333  0.667  0.885
Se  0.166  0.332  0.117
Se  0.834  0.668  0.883
Se  0.668  0.834  0.117
Se  0.834  0.668  0.617
Se  0.332  0.166  0.883
Se  0.166  0.332  0.383
Se  0.166  0.834  0.117
Se  0.332  0.166  0.617
Se  0.834  0.166  0.883
Se  0.668  0.834  0.383
Se  0.834  0.166  0.617
Se  0.166  0.834  0.383

DFT (PBE-GGA) results for an optimized crystal structure of Ta3CrSe6.

Formation energy from the elements in meV per atom: -1040
Total energy in eV/atom: -7.38
Crystal system: hexagonal

Lattice parameters (Å, degrees): 6.010 6.010 12.901 90.00 90.00 120.00
Element x y z (fractional)
Ta  0.000  0.000  0.000
Ta  0.667  0.333  0.000
Ta  0.333  0.667  0.500
Ta  0.000  0.000  0.500
Ta  0.333  0.667  0.000
Ta  0.667  0.333  0.500
Cr  0.667  0.333  0.750
Cr  0.333  0.667  0.250
Se  0.672  0.666  0.130
Se  0.328  0.334  0.630
Se  0.666  0.672  0.870
Se  0.328  0.994  0.870
Se  0.006  0.672  0.630
Se  0.006  0.334  0.870
Se  0.994  0.666  0.370
Se  0.334  0.328  0.370
Se  0.672  0.006  0.370
Se  0.994  0.328  0.130
Se  0.666  0.994  0.630
Se  0.334  0.006  0.130

DFT (PBE-GGA) results for an optimized crystal structure of Cr3Te2Se2.

Formation energy from the elements in meV per atom: -478
Total energy in eV/atom: -6.38
Crystal system: monoclinic

Lattice parameters (Å, degrees): 7.136 7.136 6.707 63.89 63.89 31.66
Element x y z (fractional)
Cr  0.000  0.000  0.000
Cr  0.263  0.263  0.773
Cr  0.737  0.737  0.227
Te  0.368  0.368  0.301
Te  0.632  0.632  0.699
Se  0.128  0.128  0.187
Se  0.872  0.872  0.813

DFT (PBE-GGA) results for an optimized crystal structure of Cr4Te3Se.

Formation energy from the elements in meV per atom: -139
Total energy in eV/atom: -6.52
Crystal system: hexagonal

Lattice parameters (Å, degrees): 4.047 4.047 12.584 90.00 90.00 120.00
Element x y z (fractional)
Cr  0.000  0.000  0.119
Cr  0.000  0.000  0.626
Cr  0.000  0.000  0.374
Cr  0.000  0.000  0.881
Te  0.667  0.333  0.500
Te  0.333  0.667  0.248
Te  0.333  0.667  0.752
Se  0.667  0.333  0.000

DFT (PBE-GGA) results for an optimized crystal structure of Cr5Te6Se2.

Formation energy from the elements in meV per atom: -282
Total energy in eV/atom: -5.91
Crystal system: trigonal

Lattice parameters (Å, degrees): 3.850 3.850 25.063 90.00 90.00 120.00
Element x y z (fractional)
Cr  0.000  0.000  0.011
Cr  0.000  0.000  0.744
Cr  0.000  0.000  0.500
Cr  0.000  0.000  0.256
Cr  0.000  0.000  0.877
Te  0.333  0.667  0.942
Te  0.333  0.667  0.685
Te  0.333  0.667  0.437
Te  0.333  0.667  0.191
Te  0.667  0.333  0.811
Te  0.667  0.333  0.561
Se  0.667  0.333  0.304
Se  0.667  0.333  0.058

DFT (PBE-GGA) results for an optimized crystal structure of ThCrSe3.

Formation energy from the elements in meV per atom: -1470
Total energy in eV/atom: -6.70
Crystal system: orthorhombic

Lattice parameters (Å, degrees): 6.519 7.754 9.377 90.00 90.00 90.00
Element x y z (fractional)
Th  0.443  0.879  0.250
Th  0.057  0.379  0.250
Th  0.557  0.121  0.750
Th  0.943  0.621  0.750
Cr  0.500  0.500  0.000
Cr  0.000  0.000  0.500
Cr  0.500  0.500  0.500
Cr  0.000  0.000  0.000
Se  0.641  0.541  0.250
Se  0.859  0.041  0.250
Se  0.359  0.459  0.750
Se  0.141  0.959  0.750
Se  0.668  0.828  0.556
Se  0.832  0.328  0.944
Se  0.332  0.172  0.056
Se  0.168  0.672  0.444
Se  0.332  0.172  0.444
Se  0.168  0.672  0.056
Se  0.668  0.828  0.944
Se  0.832  0.328  0.556

DFT (PBE-GGA) results for an optimized crystal structure of TiCr2Se4.

Distance to the lowest polymorph of the same formula in kJ per mole of atoms: 0.8
Formation energy from the elements in meV per atom: -975
Total energy in eV/atom: -6.59
Crystal system: monoclinic

Lattice parameters (Å, degrees): 3.631 6.398 6.989 115.47 74.95 90.00
Element x y z (fractional)
Ti  0.244  0.788  0.512
Cr  0.758  0.217  0.484
Cr  0.499  0.502  0.003
Se  0.865  0.470  0.269
Se  0.134  0.522  0.732
Se  0.382  0.951  0.237
Se  0.618  0.051  0.764

DFT (PBE-GGA) results for an optimized crystal structure of Ti2CrSe4.

Formation energy from the elements in meV per atom: -1229
Total energy in eV/atom: -6.59
Crystal system: monoclinic

Lattice parameters (Å, degrees): 7.000 7.000 6.318 64.34 64.34 29.54
Element x y z (fractional)
Ti  0.747  0.747  0.285
Ti  0.253  0.253  0.715
Cr  0.000  0.000  0.000
Se  0.886  0.886  0.451
Se  0.114  0.114  0.549
Se  0.629  0.629  0.034
Se  0.371  0.371  0.966

DFT (PBE-GGA) results for an optimized crystal structure of TiCr2Se4.

Distance to the lowest polymorph of the same formula in kJ per mole of atoms: 0.0
Formation energy from the elements in meV per atom: -983
Total energy in eV/atom: -6.60
Crystal system: monoclinic

Lattice parameters (Å, degrees): 6.981 6.981 6.523 62.73 62.73 30.25
Element x y z (fractional)
Ti  0.000  0.000  0.000
Cr  0.739  0.739  0.279
Cr  0.261  0.261  0.721
Se  0.876  0.876  0.447
Se  0.124  0.124  0.553
Se  0.634  0.634  0.027
Se  0.366  0.366  0.973

DFT (PBE-GGA) results for an optimized crystal structure of TlCr5Se8.

Formation energy from the elements in meV per atom: -804
Total energy in eV/atom: -6.15
Crystal system: monoclinic

Lattice parameters (Å, degrees): 9.693 9.693 9.084 74.93 74.93 21.89
Element x y z (fractional)
Tl  0.000  0.000  0.000
Cr  0.500  0.500  0.500
Cr  0.842  0.842  0.475
Cr  0.796  0.796  0.833
Cr  0.204  0.204  0.167
Cr  0.158  0.158  0.525
Se  0.076  0.076  0.347
Se  0.671  0.671  0.011
Se  0.329  0.329  0.989
Se  0.584  0.584  0.676
Se  0.416  0.416  0.324
Se  0.262  0.262  0.656
Se  0.738  0.738  0.344
Se  0.924  0.924  0.653

DFT (PBE-GGA) results for an optimized crystal structure of Tm4CrSe7.

Formation energy from the elements in meV per atom: -1810
Total energy in eV/atom: -5.87
Crystal system: monoclinic

Lattice parameters (Å, degrees): 6.760 6.760 11.869 75.27 75.27 33.72
Element x y z (fractional)
Tm  0.694  0.694  0.206
Tm  0.306  0.306  0.803
Tm  0.998  0.998  0.007
Tm  0.113  0.113  0.564
Cr  0.885  0.885  0.424
Se  0.746  0.746  0.636
Se  0.270  0.270  0.353
Se  0.337  0.337  0.051
Se  0.659  0.659  0.949
Se  0.032  0.032  0.229
Se  0.964  0.964  0.785
Se  0.494  0.494  0.495

DFT (PBE-GGA) results for an optimized crystal structure of VCrSe2.

Formation energy from the elements in meV per atom: -604
Total energy in eV/atom: -6.80
Crystal system: monoclinic

Lattice parameters (Å, degrees): 3.838 3.838 5.665 89.95 90.05 119.85
Element x y z (fractional)
V  0.000  0.000  0.000
Cr  0.000  0.000  0.500
Se  0.667  0.333  0.755
Se  0.333  0.667  0.245

DFT (PBE-GGA) results for an optimized crystal structure of Cr3Si.

Formation energy from the elements in meV per atom: -323
Total energy in eV/atom: -8.94
Crystal system: cubic

Lattice parameters (Å, degrees): 4.519 4.519 4.519 90.00 90.00 90.00
Element x y z (fractional)
Cr  0.000  0.500  0.250
Cr  0.000  0.500  0.750
Cr  0.500  0.750  0.000
Cr  0.500  0.250  0.000
Cr  0.750  0.000  0.500
Cr  0.250  0.000  0.500
Si  0.500  0.500  0.500
Si  0.000  0.000  0.000

DFT (PBE-GGA) results for an optimized crystal structure of SmCr2Si2.

Formation energy from the elements in meV per atom: -364
Total energy in eV/atom: -7.37
Crystal system: tetragonal

Lattice parameters (Å, degrees): 6.046 6.046 6.046 142.37 142.37 54.27
Element x y z (fractional)
Sm  0.000  0.000  0.000
Cr  0.750  0.250  0.500
Cr  0.250  0.750  0.500
Si  0.382  0.382  0.000
Si  0.618  0.618  0.000

DFT (PBE-GGA) results for an optimized crystal structure of Ta4Cr7Si8.

Formation energy from the elements in meV per atom: -400
Total energy in eV/atom: -8.77
Crystal system: orthorhombic

Lattice parameters (Å, degrees): 4.839 13.191 15.843 90.00 90.00 90.00
Element x y z (fractional)
Ta  0.750  0.433  0.699
Ta  0.750  0.933  0.801
Ta  0.250  0.567  0.301
Ta  0.250  0.067  0.199
Ta  0.750  0.133  0.542
Ta  0.750  0.633  0.958
Ta  0.250  0.867  0.458
Ta  0.250  0.367  0.042
Ta  0.750  0.249  0.973
Ta  0.750  0.749  0.527
Ta  0.250  0.751  0.027
Ta  0.250  0.251  0.473
Ta  0.750  0.042  0.093
Ta  0.750  0.542  0.407
Ta  0.250  0.958  0.907
Ta  0.250  0.458  0.593
Cr  0.750  0.188  0.250
Cr  0.750  0.688  0.250
Cr  0.250  0.812  0.750
Cr  0.250  0.312  0.750
Cr  0.009  0.136  0.824
Cr  0.491  0.636  0.676
Cr  0.509  0.864  0.176
Cr  0.991  0.364  0.324
Cr  0.991  0.864  0.176
Cr  0.509  0.364  0.324
Cr  0.491  0.136  0.824
Cr  0.009  0.636  0.676
Cr  0.750  0.364  0.154
Cr  0.750  0.864  0.346
Cr  0.250  0.636  0.846
Cr  0.250  0.136  0.654
Cr  0.990  0.439  0.879
Cr  0.510  0.939  0.621
Cr  0.490  0.561  0.121
Cr  0.010  0.061  0.379
Cr  0.010  0.561  0.121
Cr  0.490  0.061  0.379
Cr  0.510  0.439  0.879
Cr  0.990  0.939  0.621
Cr  0.750  0.374  0.497
Cr  0.750  0.874  0.003
Cr  0.250  0.626  0.503
Cr  0.250  0.126  0.997
Si  0.750  0.450  0.018
Si  0.750  0.950  0.482
Si  0.250  0.550  0.982
Si  0.250  0.050  0.518
Si  0.997  0.284  0.620
Si  0.503  0.784  0.880
Si  0.497  0.716  0.380
Si  0.003  0.216  0.120
Si  0.003  0.716  0.380
Si  0.497  0.216  0.120
Si  0.503  0.284  0.620
Si  0.997  0.784  0.880
Si  0.750  0.088  0.698
Si  0.750  0.588  0.802
Si  0.250  0.912  0.302
Si  0.250  0.412  0.198
Si  0.750  0.227  0.397
Si  0.750  0.727  0.103
Si  0.250  0.773  0.603
Si  0.250  0.273  0.897
Si  0.750  0.050  0.934
Si  0.750  0.550  0.566
Si  0.250  0.950  0.066
Si  0.250  0.450  0.434
Si  0.750  0.003  0.253
Si  0.750  0.503  0.247
Si  0.250  0.997  0.747
Si  0.250  0.497  0.753
Si  0.750  0.290  0.807
Si  0.750  0.790  0.693
Si  0.250  0.710  0.193
Si  0.250  0.210  0.307

DFT (PBE-GGA) results for an optimized crystal structure of Ta2Cr4Si5.

Formation energy from the elements in meV per atom: -112
Total energy in eV/atom: -8.28
Crystal system: orthorhombic

Lattice parameters (Å, degrees): 9.325 9.325 9.325 147.93 132.91 58.11
Element x y z (fractional)
Ta  0.810  0.560  0.750
Ta  0.190  0.940  0.750
Ta  0.190  0.440  0.250
Ta  0.810  0.060  0.250
Cr  0.189  0.939  0.250
Cr  0.811  0.061  0.750
Cr  0.310  0.561  0.750
Cr  0.690  0.439  0.250
Cr  0.766  0.644  0.123
Cr  0.234  0.356  0.877
Cr  0.479  0.856  0.623
Cr  0.521  0.144  0.377
Si  0.500  0.250  0.750
Si  0.500  0.750  0.250
Si  0.106  0.797  0.309
Si  0.894  0.203  0.691
Si  0.512  0.703  0.809
Si  0.488  0.297  0.191
Si  0.969  0.560  0.409
Si  0.031  0.440  0.591
Si  0.850  0.940  0.909
Si  0.150  0.060  0.091